Entry 1:
{
  "formula": "MgMoWS4",
  "functional": "PBE",
  "state": "optimized geometry",
  "e_form_mev_per_atom": -966,
  "total_energy_ev_per_atom": -6.672,
  "rho_g_cm3": 5.5,
  "m_tot_mub_per_cell": 2.0,
  "lattice_angstrom": [[6.3387, -0.0105, 3.6486], [2.3428, 5.8293, 3.2483], [0.1411, -0.3976, 7.0660]],
  "species": ["S", "S", "S", "S", "S", "S", "S", "S", "Mo", "Mo", "W", "W", "Mg", "Mg"],
  "fractional_positions": [[0.7547, 0.2943, 0.6991], [0.2268, 0.7525, 0.2948], [0.7320, 0.2230, 0.2227], [0.2266, 0.2952, 0.7529], [0.7546, 0.6988, 0.2946], [0.7269, 0.7432, 0.7439], [0.2830, 0.7465, 0.7468], [0.3226, 0.2228, 0.2221], [0.4783, 0.5097, 0.0346], [0.4782, 0.0351, 0.5094], [0.0709, 0.4732, 0.4733], [0.4818, 0.4745, 0.4748], [0.1065, 0.1419, 0.1417], [0.8571, 0.8894, 0.8894]]
}

---

Entry 2:
{
  "formula": "Lu5In4Pd2",
  "functional": "PBE",
  "state": "optimized geometry",
  "e_form_mev_per_atom": -679,
  "total_energy_ev_per_atom": -4.676,
  "rho_g_cm3": 10.0,
  "m_tot_mub_per_cell": 0.0,
  "lattice_angstrom": [[0.0000, 0.0000, -3.5559], [0.0000, -8.0466, 0.0000], [-18.0211, 0.0000, 0.0000]],
  "species": ["In", "In", "In", "In", "In", "In", "In", "In", "Pd", "Pd", "Pd", "Pd", "Lu", "Lu", "Lu", "Lu", "Lu", "Lu", "Lu", "Lu", "Lu", "Lu"],
  "fractional_positions": [[0.5000, 0.0844, 0.8515], [0.5000, 0.4156, 0.3515], [0.5000, 0.7858, 0.4317], [0.5000, 0.7142, 0.9317], [0.5000, 0.5844, 0.6485], [0.5000, 0.9156, 0.1485], [0.5000, 0.2142, 0.5683], [0.5000, 0.2858, 0.0683], [0.5000, 0.5220, 0.1965], [0.5000, 0.4780, 0.8035], [0.5000, 0.9780, 0.6965], [0.5000, 0.0220, 0.3035], [0.0000, 0.6109, 0.0828], [0.0000, 0.8891, 0.5828], [0.0000, 0.7619, 0.7797], [0.0000, 0.7381, 0.2797], [0.0000, 0.2619, 0.7203], [0.0000, 0.2381, 0.2203], [0.0000, 0.5000, 0.5000], [0.0000, 0.0000, 0.0000], [0.0000, 0.3891, 0.9172], [0.0000, 0.1109, 0.4172]]
}

---

Entry 3:
{
  "formula": "Ti7O8",
  "functional": "PBE",
  "state": "optimized geometry",
  "e_form_mev_per_atom": -2924,
  "total_energy_ev_per_atom": -8.881,
  "rho_g_cm3": 4.6,
  "m_tot_mub_per_cell": 0.0,
  "lattice_angstrom": [[2.0517, 4.7768, 0.0000], [-2.0517, 4.7768, 0.0000], [0.0000, 2.9328, 8.4467]],
  "species": ["Ti", "Ti", "Ti", "Ti", "Ti", "Ti", "Ti", "O", "O", "O", "O", "O", "O", "O", "O"],
  "fractional_positions": [[0.6482, 0.6482, 0.4551], [0.0172, 0.0172, 0.3349], [0.6743, 0.6743, 0.1141], [0.3317, 0.3317, 0.1974], [0.3404, 0.3404, 0.8998], [0.3482, 0.3482, 0.5695], [0.6615, 0.6615, 0.7752], [0.1839, 0.1839, 0.4403], [0.8321, 0.8321, 0.2365], [0.8129, 0.8129, 0.8874], [0.5003, 0.5003, 0.6768], [0.5072, 0.5072, 0.9921], [0.8285, 0.8285, 0.5513], [0.4908, 0.4908, 0.3240], [0.1560, 0.1560, 0.1013]]
}